PBE Li5La3Nb2O12, relaxed; excess energy over the best structure of this formula in the dataset = 0.0020 eV/atom; formation enthalpy at 0 K = -3093 meV/atom; electronic total energy = -7.442 eV/atom; magnetization = 0.00 μB/cell; space-group type = No. 9
1.0
9.042 -6.487 0.000
9.042 6.487 0.000
-9.018 0.000 9.132
Li La Nb O
20 12 8 48
direct
0.069 0.931 0.500
0.085 0.325 0.317
0.131 0.779 0.257
0.176 0.957 0.177
0.208 0.355 0.779
0.277 0.640 0.029
0.325 0.085 0.817
0.355 0.208 0.279
0.400 0.557 0.845
0.462 0.674 0.317
0.557 0.400 0.345
0.594 0.810 0.951
0.640 0.277 0.529
0.645 0.991 0.873
0.674 0.462 0.817
0.779 0.131 0.757
0.810 0.594 0.451
0.931 0.069 0.000
0.957 0.176 0.677
0.991 0.645 0.373
0.002 0.510 0.936
0.011 0.753 0.807
0.134 0.139 0.445
0.139 0.134 0.945
0.257 0.516 0.316
0.257 0.756 0.689
0.510 0.002 0.436
0.516 0.257 0.816
0.639 0.640 0.179
0.640 0.639 0.679
0.753 0.011 0.307
0.756 0.257 0.189
0.382 0.387 0.566
0.384 0.893 0.066
0.387 0.382 0.066
0.389 0.887 0.567
0.880 0.889 0.568
0.887 0.389 0.067
0.889 0.880 0.068
0.893 0.384 0.566
0.005 0.558 0.157
0.060 0.500 0.773
0.068 0.768 0.055
0.081 0.293 0.149
0.082 0.985 0.682
0.186 0.979 0.045
0.193 0.284 0.887
0.207 0.773 0.477
0.212 0.502 0.477
0.269 0.714 0.873
0.273 0.561 0.141
0.284 0.193 0.387
0.293 0.081 0.649
0.300 0.910 0.390
0.311 0.361 0.664
0.352 0.966 0.943
0.361 0.311 0.164
0.405 0.470 0.968
0.414 0.799 0.181
0.465 0.683 0.472
0.470 0.405 0.468
0.476 0.584 0.743
0.476 0.859 0.740
0.500 0.060 0.273
0.502 0.212 0.977
0.558 0.005 0.657
0.561 0.273 0.641
0.582 0.804 0.091
0.584 0.476 0.243
0.683 0.465 0.972
0.687 0.784 0.437
0.713 0.996 0.083
0.714 0.269 0.373
0.768 0.068 0.555
0.773 0.207 0.977
0.784 0.687 0.937
0.799 0.414 0.681
0.804 0.582 0.591
0.819 0.871 0.879
0.859 0.476 0.240
0.871 0.819 0.379
0.910 0.300 0.890
0.919 0.974 0.773
0.966 0.352 0.443
0.974 0.919 0.273
0.979 0.186 0.545
0.985 0.082 0.182
0.996 0.713 0.583